1.
This record from Materials Project describes crystalline ZrH6O3F4 at its relaxed geometry. The functional is PBE-GGA.

Cell lengths 5.995, 6.697, 7.620 Å; angles 76.95, 75.06, 66.85 degrees
Space group P-1 (No. 2)
Symmetry-distinct sites (fractional):
Zr: 0.120 0.147 0.282 x2
H: 0.196 0.785 0.977 x2
H: 0.230 0.551 0.934 x2
H: 0.243 0.444 0.435 x2
H: 0.358 0.060 0.678 x2
H: 0.387 0.165 0.839 x2
H: 0.491 0.328 0.287 x2
O: 0.216 0.703 0.875 x2
O: 0.323 0.331 0.349 x2
O: 0.475 0.069 0.743 x2
F: 0.139 0.591 0.602 x2
F: 0.165 0.898 0.148 x2
F: 0.169 0.997 0.560 x2
F: 0.246 0.299 0.025 x2

formation energy: -2.254 eV per atom


2.
This record from Materials Project describes crystalline Nb4V3FeSe20 at its relaxed geometry. The functional is PBE-GGA.

Cell lengths 9.477, 3.492, 18.777 Å; angles 90.00, 93.44, 90.00 degrees
Space group Pm (No. 6)
Symmetry-distinct sites (fractional):
Nb: 0.000 0.000 0.000 x1
Nb: 0.186 0.500 0.633 x1
Nb: 0.495 0.000 0.497 x1
Nb: 0.691 0.500 0.137 x1
V: 0.181 0.500 0.358 x1
V: 0.484 0.000 0.768 x1
V: 0.701 0.500 0.865 x1
Fe: 0.992 0.000 0.267 x1
Se: 0.010 0.000 0.568 x1
Se: 0.014 0.000 0.392 x1
Se: 0.015 0.000 0.694 x1
Se: 0.151 0.500 0.233 x1
Se: 0.168 0.500 0.938 x1
Se: 0.177 0.500 0.065 x1
Se: 0.283 0.500 0.495 x1
Se: 0.290 0.500 0.771 x1
Se: 0.383 0.000 0.359 x1
Se: 0.397 0.000 0.633 x1
Se: 0.514 0.000 0.072 x1
Se: 0.520 0.000 0.198 x1
Se: 0.522 0.000 0.897 x1
Se: 0.663 0.500 0.736 x1
Se: 0.667 0.500 0.437 x1
Se: 0.673 0.500 0.562 x1
Se: 0.790 0.500 0.001 x1
Se: 0.813 0.500 0.273 x1
Se: 0.895 0.000 0.861 x1
Se: 0.901 0.000 0.140 x1

formation energy: -0.960 eV per atom


3.
This record from Materials Project describes crystalline ErAu at its relaxed geometry. The functional is PBE-GGA.

Cell lengths 3.575, 3.575, 3.575 Å; angles 90.00, 90.00, 90.00 degrees
Space group Pm-3m (No. 221)
Symmetry-distinct sites (fractional):
Er: 0.000 0.000 0.000 x1
Au: 0.500 0.500 0.500 x1

formation energy: -0.885 eV per atom


4.
This record from Materials Project describes crystalline NaFeN at its relaxed geometry. The functional is PBE-GGA.

Cell lengths 3.517, 4.333, 7.575 Å; angles 90.00, 90.00, 90.00 degrees
Space group Amm2 (No. 38)
Symmetry-distinct sites (fractional):
Na: 0.000 0.000 0.000 x2
Fe: 0.500 0.000 0.667 x2
N: 0.000 0.000 0.667 x2

formation energy: 0.196 eV per atom


5.
This record from Materials Project describes crystalline MgAl at its relaxed geometry. The functional is PBE-GGA.

Cell lengths 4.9885, 4.9885, 5.5010 Å; angles 90.00, 90.00, 120.00 degrees
Space group P6_3/mmc (No. 194)
Symmetry-distinct sites (fractional):
Mg: 0.3333 0.6667 0.2500 x2
Al: 0.3333 0.6667 0.7500 x2

formation energy: 0.602 eV per atom


6.
This record from Materials Project describes crystalline SnO2 at its relaxed geometry. The functional is PBE-GGA.

Cell lengths 5.175, 5.175, 5.175 Å; angles 90.00, 90.00, 90.00 degrees
Space group Pa-3 (No. 205)
Symmetry-distinct sites (fractional):
Sn: 0.000 0.000 0.000 x4
O: 0.161 0.661 0.839 x8

formation energy: -2.007 eV per atom


7.
This record from Materials Project describes crystalline Y12Si5S28 at its relaxed geometry. The functional is PBE-GGA.

Cell lengths 9.826, 11.359, 11.367 Å; angles 60.58, 64.41, 64.38 degrees
Space group P1 (No. 1)
Symmetry-distinct sites (fractional):
Y: 0.000 0.000 0.000 x1
Y: 0.002 0.515 0.465 x1
Y: 0.090 0.233 0.182 x1
Y: 0.103 0.697 0.699 x1
Y: 0.215 0.573 0.064 x1
Y: 0.237 0.083 0.542 x1
Y: 0.505 0.951 0.949 x1
Y: 0.520 0.470 0.421 x1
Y: 0.644 0.337 0.794 x1
Y: 0.650 0.807 0.301 x1
Y: 0.732 0.038 0.499 x1
Y: 0.742 0.527 0.017 x1
Si: 0.204 0.348 0.742 x1
Si: 0.205 0.853 0.249 x1
Si: 0.537 0.271 0.157 x1
Si: 0.537 0.771 0.660 x1
Si: 0.872 0.992 0.771 x1
S: 0.009 0.989 0.548 x1
S: 0.036 0.503 0.995 x1
S: 0.107 0.840 0.837 x1
S: 0.129 0.330 0.335 x1
S: 0.203 0.667 0.431 x1
S: 0.204 0.165 0.929 x1
S: 0.283 0.812 0.061 x1
S: 0.292 0.310 0.552 x1
S: 0.341 0.975 0.219 x1
S: 0.357 0.458 0.705 x1
S: 0.391 0.803 0.545 x1
S: 0.397 0.303 0.038 x1
S: 0.451 0.459 0.199 x1
S: 0.453 0.961 0.698 x1
S: 0.530 0.594 0.851 x1
S: 0.545 0.079 0.336 x1
S: 0.607 0.683 0.178 x1
S: 0.645 0.148 0.704 x1
S: 0.709 0.509 0.513 x1
S: 0.721 0.001 0.998 x1
S: 0.765 0.774 0.516 x1
S: 0.766 0.274 0.011 x1
S: 0.772 0.300 0.303 x1
S: 0.784 0.808 0.805 x1
S: 0.959 0.173 0.729 x1
S: 0.965 0.716 0.213 x1
S: 0.974 0.491 0.736 x1
S: 0.978 0.004 0.250 x1

formation energy: -1.898 eV per atom


8.
This record from Materials Project describes crystalline SmAs2O2 at its relaxed geometry. The functional is PBE-GGA.

Cell lengths 10.813, 10.813, 14.961 Å; angles 90.00, 90.00, 90.00 degrees
Space group I4_1/amd (No. 141, origin choice 2)
Symmetry-distinct sites (fractional):
Sm: 0.000 0.000 0.000 x8
As: 0.000 0.115 0.805 x16
O: 0.000 0.034 0.147 x16

formation energy: -1.291 eV per atom


9.
This record from Materials Project describes crystalline Mg2Si at its relaxed geometry. The functional is PBE-GGA.

Cell lengths 5.132, 7.007, 7.755 Å; angles 102.91, 107.86, 107.58 degrees
Space group P1 (No. 1)
Symmetry-distinct sites (fractional):
Mg: 0.000 0.000 0.000 x1
Mg: 0.015 0.733 0.333 x1
Mg: 0.238 0.257 0.439 x1
Mg: 0.287 0.725 0.821 x1
Mg: 0.317 0.480 0.116 x1
Mg: 0.564 0.973 0.289 x1
Mg: 0.662 0.756 0.580 x1
Mg: 0.712 0.497 0.867 x1
Si: 0.442 0.067 0.703 x1
Si: 0.720 0.261 0.116 x1
Si: 0.818 0.417 0.483 x1
Si: 0.977 0.224 0.710 x1

formation energy: 0.112 eV per atom


10.
This record from Materials Project describes crystalline CeYFe17 at its relaxed geometry. The functional is PBE-GGA.

Cell lengths 8.4863, 8.4863, 8.3102 Å; angles 90.00, 90.00, 120.00 degrees
Space group P6_3/mmc (No. 194)
Symmetry-distinct sites (fractional):
Ce: 0.3333 0.6667 0.2500 x2
Y: 0.0000 0.0000 0.2500 x2
Fe: 0.0000 0.5000 0.0000 x6
Fe: 0.0384 0.3678 0.7500 x12
Fe: 0.1657 0.3314 0.0133 x12
Fe: 0.3333 0.6667 0.6066 x4

formation energy: 0.004 eV per atom


11.
This record from Materials Project describes crystalline Mg14TiCr at its relaxed geometry. The functional is PBE-GGA.

Cell lengths 10.090, 6.288, 10.970 Å; angles 90.00, 90.00, 90.00 degrees
Space group Amm2 (No. 38)
Symmetry-distinct sites (fractional):
Mg: 0.000 0.000 0.000 x2
Mg: 0.000 0.000 0.500 x2
Mg: 0.000 0.250 0.251 x4
Mg: 0.252 0.000 0.163 x4
Mg: 0.256 0.000 0.664 x4
Mg: 0.258 0.249 0.920 x8
Mg: 0.500 0.246 0.251 x4
Ti: 0.500 0.000 0.001 x2
Cr: 0.500 0.000 0.498 x2

formation energy: 0.111 eV per atom


12.
This record from Materials Project describes crystalline TbFe11W at its relaxed geometry. The functional is PBE-GGA.

Cell lengths 4.695, 8.484, 8.546 Å; angles 90.00, 90.00, 90.00 degrees
Space group Imm2 (No. 44)
Symmetry-distinct sites (fractional):
Tb: 0.000 0.000 0.000 x2
Fe: 0.000 0.000 0.650 x2
Fe: 0.000 0.276 0.508 x4
Fe: 0.000 0.359 0.006 x4
Fe: 0.000 0.500 0.276 x2
Fe: 0.000 0.500 0.733 x2
Fe: 0.250 0.250 0.255 x8
W: 0.000 0.000 0.374 x2

formation energy: -0.013 eV per atom


13.
This record from Materials Project describes crystalline Fe7C3 at its relaxed geometry. The functional is PBE-GGA.

Cell lengths 6.8258, 6.8258, 4.4948 Å; angles 90.00, 90.00, 120.00 degrees
Space group P6_3mc (No. 186)
Symmetry-distinct sites (fractional):
Fe: 0.0913 0.5457 0.0000 x6
Fe: 0.1224 0.2448 0.6739 x6
Fe: 0.3333 0.6667 0.4921 x2
C: 0.1866 0.3731 0.2800 x6

formation energy: 0.080 eV per atom


14.
This record from Materials Project describes crystalline SnCI3N2 at its relaxed geometry. The functional is PBE-GGA.

Cell lengths 12.065, 12.074, 11.989 Å; angles 90.00, 90.00, 90.00 degrees
Space group Imm2 (No. 44)
Symmetry-distinct sites (fractional):
Sn: 0.250 0.250 0.000 x8
C: 0.000 0.000 0.216 x2
C: 0.000 0.000 0.758 x2
C: 0.000 0.500 0.274 x2
C: 0.000 0.500 0.765 x2
I: 0.000 0.216 0.504 x4
I: 0.000 0.229 0.005 x4
I: 0.221 0.500 0.503 x4
I: 0.224 0.500 0.014 x4
I: 0.249 0.245 0.254 x8
N: 0.000 0.398 0.273 x4
N: 0.000 0.398 0.764 x4
N: 0.103 0.000 0.218 x4
N: 0.103 0.000 0.758 x4

formation energy: 0.348 eV per atom


15.
This record from Materials Project describes crystalline AgSbTe2 at its relaxed geometry. The functional is PBE-GGA.

Cell lengths 3.759, 3.759, 7.441 Å; angles 90.00, 90.00, 90.00 degrees
Space group P4/mmm (No. 123)
Symmetry-distinct sites (fractional):
Ag: 0.000 0.000 0.000 x1
Sb: 0.000 0.000 0.500 x1
Te: 0.500 0.500 0.244 x2

formation energy: 0.007 eV per atom